Record 1
Compound: Li4Ti3CrO8
Source: the Materials Project
Functional: GGA+U
Structure: optimized geometry

Lattice parameters (Å, degrees): 5.8679 5.8679 14.8941 90.00 90.00 120.00
Space group R-3m (No. 166, hexagonal axes)
Asymmetric unit:
Li1 0.0000 0.0000 0.0000
Li2 0.0000 0.5000 0.0000
Ti1 0.0000 0.5000 0.5000
Cr1 0.0000 0.0000 0.5000
O1 0.0000 0.0000 0.2459
O2 0.0020 0.5010 0.2446

## Properties
Calculated total energy ... -7.36 eV/atom
DFT formation energy ... -2792 meV/atom
M_tot ... 2.39 μB per formula unit



Record 2
Compound: BaEuMgFe2O5
Source: the Materials Project
Functional: GGA+U
Structure: optimized geometry

Lattice parameters (Å, degrees): 7.507 5.990 7.875 90.00 90.00 90.00
Space group Amm2 (No. 38)
Asymmetric unit:
Ba1 0.000 0.000 0.000
Eu1 0.500 0.000 0.288
Mg1 0.500 0.000 0.910
Fe1 0.225 0.000 0.567
O1 0.000 0.000 0.680
O2 0.315 0.242 0.952

## Properties
Calculated total energy ... -6.88 eV/atom
E above lowest polymorph ... 0 meV per atom
DFT formation energy ... -2127 meV/atom
M_tot ... 14.99 μB per formula unit



Record 3
Compound: CoP2H17N4O9
Source: the Materials Project
Functional: GGA+U
Structure: optimized geometry

Lattice parameters (Å, degrees): 7.638 14.280 11.547 90.00 92.30 90.00
Space group P2_1/c (No. 14)
Asymmetric unit:
Co1 0.097 0.040 0.222
P1 0.161 0.686 0.399
P2 0.281 0.585 0.191
H1 0.020 0.642 0.709
H2 0.032 0.089 0.915
H3 0.125 0.170 0.578
H4 0.160 0.217 0.238
H5 0.165 0.081 0.806
H6 0.197 0.596 0.873
H7 0.198 0.010 0.436
H8 0.250 0.169 0.358
H9 0.285 0.557 0.574
H10 0.296 0.110 0.601
H11 0.316 0.705 0.067
H12 0.319 0.060 0.059
H13 0.325 0.229 0.000
H14 0.357 0.168 0.236
H15 0.366 0.522 0.857
H16 0.420 0.501 0.666
H17 0.492 0.174 0.970
N1 0.036 0.083 0.827
N2 0.231 0.526 0.863
N3 0.235 0.163 0.269
N4 0.304 0.005 0.118
O1 0.025 0.604 0.408
O2 0.077 0.725 0.850
O3 0.084 0.577 0.162
O4 0.237 0.153 0.545
O5 0.265 0.697 0.514
O6 0.307 0.646 0.309
O7 0.363 0.168 0.971
O8 0.373 0.644 0.096
O9 0.381 0.006 0.707

## Properties
Calculated total energy ... -5.59 eV/atom
DFT formation energy ... -1176 meV/atom
M_tot ... 0.00 μB per formula unit



Question: What is the calculated total energy in the second record?
Answer: -6.88 eV/atom



Question: What is the M_tot in the third record?
Answer: 0.00 μB per formula unit



Question: M_tot of number 1 (Li4Ti3CrO8)?
Answer: 2.39 μB per formula unit